(1)
TlGeBr3 | PBE | optimized geometry

```
TlGeBr3
1.0
9.7667 0.0000 0.0000
0.0000 4.2239 0.0000
0.0000 0.0000 15.6152
Tl Ge Br
4 4 12
Cartesian
0.6632 1.0560 2.6634 Tl
4.2201 3.1679 10.4710 Tl
5.5466 1.0560 5.1442 Tl
9.1035 3.1679 12.9517 Tl
1.6210 3.1679 6.8576 Ge
3.2624 1.0560 14.6652 Ge
6.5043 3.1679 0.9500 Ge
8.1457 1.0560 8.7575 Ge
0.1162 3.1679 9.5856 Br
1.6172 3.1679 0.1090 Br
2.0080 1.0560 12.3472 Br
2.8753 3.1679 4.5396 Br
3.2662 1.0560 7.9166 Br
4.7671 1.0560 1.7780 Br
4.9996 3.1679 13.8372 Br
6.5005 3.1679 7.6986 Br
6.8914 1.0560 11.0755 Br
7.7587 3.1679 3.2679 Br
8.1495 1.0560 15.5062 Br
9.6505 1.0560 6.0296 Br
```

Calculated volume = 32.2 Å³ per atom



(2)
Na5LaO4 | PBE | optimized geometry

```
Na5LaO4
1.0
11.1191 0.0000 0.0000
0.0000 11.1360 0.0000
0.0000 0.0000 11.1444
Na La O
40 8 32
Cartesian
1.1269 1.7776 1.2931 Na
1.1269 3.7904 6.8653 Na
1.1756 7.1792 9.6734 Na
1.1756 9.5247 4.1012 Na
1.3967 1.3383 9.5253 Na
1.3967 4.2296 3.9531 Na
1.5609 6.7035 6.7657 Na
1.5609 10.0004 1.1935 Na
1.8916 1.3604 4.3804 Na
1.8916 4.2076 9.9526 Na
3.6680 6.9283 4.3804 Na
3.6680 9.7756 9.9526 Na
3.9987 1.1355 6.7657 Na
3.9987 4.4324 1.1935 Na
4.1628 6.9063 9.5253 Na
4.1628 9.7976 3.9531 Na
4.3840 1.6113 9.6734 Na
4.3840 3.9567 4.1012 Na
4.4327 7.3455 1.2931 Na
4.4327 9.3584 6.8653 Na
6.6864 1.7776 4.2791 Na
6.6864 3.7904 9.8514 Na
6.7351 7.1792 7.0433 Na
6.7351 9.5247 1.4711 Na
6.9563 1.3383 7.1913 Na
6.9563 4.2296 1.6191 Na
7.1204 6.7035 9.9510 Na
7.1204 10.0004 4.3787 Na
7.4511 1.3604 1.1918 Na
7.4511 4.2076 6.7640 Na
9.2275 6.9283 1.1918 Na
9.2275 9.7756 6.7640 Na
9.5582 1.1355 9.9510 Na
9.5582 4.4324 4.3787 Na
9.7224 6.9063 7.1913 Na
9.7224 9.7976 1.6191 Na
9.9435 1.6113 7.0433 Na
9.9435 3.9567 1.4711 Na
9.9922 7.3455 4.2791 Na
9.9922 9.3584 9.8514 Na
1.3072 6.8407 1.6534 La
1.3072 9.8633 7.2256 La
4.2524 1.2727 1.6534 La
4.2524 4.2953 7.2256 La
6.8667 6.8407 3.9188 La
6.8667 9.8633 9.4911 La
9.8119 1.2727 3.9188 La
9.8119 4.2953 9.4911 La
0.0137 8.2434 0.4059 O
0.0137 8.4605 5.9781 O
0.2531 0.0684 2.7378 O
0.2531 5.4996 8.3100 O
2.6629 8.3343 2.7490 O
2.6629 8.3696 8.3212 O
2.7172 5.9855 0.0453 O
2.7172 10.7184 5.6175 O
2.8424 0.4176 0.0453 O
2.8424 5.1504 5.6175 O
2.8967 2.7664 2.7490 O
2.8967 2.8016 8.3212 O
5.3064 5.6364 2.7378 O
5.3064 11.0675 8.3100 O
5.5459 2.6755 0.4059 O
5.5459 2.8925 5.9781 O
5.5732 8.2434 5.1663 O
5.5732 8.4605 10.7386 O
5.8127 0.0684 2.8345 O
5.8127 5.4996 8.4067 O
8.2224 8.3343 2.8232 O
8.2224 8.3696 8.3954 O
8.2767 5.9855 5.5269 O
8.2767 10.7184 11.0991 O
8.4019 0.4176 5.5269 O
8.4019 5.1504 11.0991 O
8.4562 2.7664 2.8232 O
8.4562 2.8016 8.3954 O
10.8660 5.6364 2.8345 O
10.8660 11.0675 8.4067 O
11.1054 2.6755 5.1663 O
11.1054 2.8925 10.7386 O
```

Size of the total moment = 0.001 μB per formula unit
Calculated volume = 17.2 Å³ per atom
Offset from the most stable computed form = 0 meV/atom



(3)
Ca2Ge7O16 | PBE | optimized geometry

```
Ca2Ge7O16
1.0
11.5071 0.0000 0.0000
0.0000 11.5071 0.0000
0.0000 0.0000 4.7121
Ca Ge O
4 14 32
Cartesian
1.8959 3.8576 0.0000 Ca
3.8576 9.6112 0.0000 Ca
7.6495 1.8959 0.0000 Ca
9.6112 7.6495 0.0000 Ca
0.0000 5.7536 2.3561 Ge
0.7636 9.3490 2.3131 Ge
1.5388 7.2924 0.0000 Ge
2.1581 0.7636 2.3990 Ge
3.5955 6.5171 2.3990 Ge
4.2147 1.5388 0.0000 Ge
4.9900 3.5955 2.3131 Ge
5.7536 0.0000 2.3561 Ge
6.5171 7.9116 2.3131 Ge
7.2924 9.9683 0.0000 Ge
7.9116 4.9900 2.3990 Ge
9.3490 10.7435 2.3990 Ge
9.9683 4.2147 0.0000 Ge
10.7435 2.1581 2.3131 Ge
11.5043 4.4056 1.1939 O
0.0028 7.1015 1.1939 O
0.3161 8.2814 3.6616 O
0.7843 1.6141 1.5870 O
1.3479 5.7563 3.5182 O
1.6141 10.7228 3.1252 O
1.9589 8.8171 1.0931 O
2.5278 6.0696 1.0505 O
2.6900 1.9589 3.6190 O
3.0636 7.7124 3.6190 O
3.2257 0.3161 1.0505 O
3.7947 3.0636 1.0931 O
4.1394 4.9693 3.1252 O
4.4056 0.0028 3.5182 O
4.9693 7.3677 1.5870 O
5.4375 2.5278 3.6616 O
5.7508 1.3479 1.1939 O
5.7563 10.1592 1.1939 O
6.0696 8.9793 3.6616 O
6.5378 4.1394 1.5870 O
7.1015 11.5043 3.5182 O
7.3677 6.5378 3.1252 O
7.7124 8.4435 1.0931 O
8.2814 11.1910 1.0505 O
8.4435 3.7947 3.6190 O
8.8171 9.5482 3.6190 O
8.9793 5.4375 1.0505 O
9.5482 2.6900 1.0931 O
9.8930 0.7843 3.1252 O
10.1592 5.7508 3.5182 O
10.7228 9.8930 1.5870 O
11.1910 3.2257 3.6616 O
```

Calculated volume = 12.5 Å³ per atom



no.,ΔH_f (0 K) (eV per atom)
1,-1.03
2,-2.05
3,-2.37